Entry 1:
! Li2Ni3O6 | Materials Project | PBE with a Hubbard U | optimized geometry; values from VASP
! Energy above the most stable polymorph in this dataset = 18 meV/atom
! E_form = -1.277 eV/atom
! MP2020-corrected energy = -5.900 eV per atom
&SYSTEM
  ibrav = 0, nat = 66, ntyp = 3
/
ATOMIC_SPECIES
Li 6.94 Li.upf
Ni 58.69 Ni.upf
O 16.00 O.upf
CELL_PARAMETERS angstrom
5.621 0.000 0.000
2.782 5.838 0.000
1.304 0.866 18.791
ATOMIC_POSITIONS crystal
Li 0.000 0.000 0.000
Li 0.037 0.137 0.563
Li 0.127 0.236 0.115
Li 0.199 0.337 0.668
Li 0.283 0.570 0.781
Li 0.326 0.666 0.333
Li 0.405 0.798 0.896
Li 0.462 0.902 0.451
Li 0.614 0.231 0.115
Li 0.741 0.468 0.229
Li 0.788 0.568 0.783
Li 0.942 0.902 0.447
Ni 0.035 0.069 0.781
Ni 0.089 0.185 0.336
Ni 0.139 0.296 0.892
Ni 0.202 0.399 0.449
Ni 0.261 0.508 0.003
Ni 0.315 0.619 0.561
Ni 0.368 0.735 0.115
Ni 0.428 0.842 0.671
Ni 0.473 0.964 0.226
Ni 0.533 0.066 0.783
Ni 0.593 0.173 0.337
Ni 0.645 0.285 0.894
Ni 0.701 0.402 0.448
Ni 0.755 0.520 0.002
Ni 0.809 0.631 0.560
Ni 0.869 0.733 0.115
Ni 0.924 0.851 0.670
Ni 0.979 0.952 0.227
O 0.002 0.076 0.893
O 0.008 0.952 0.115
O 0.059 0.185 0.449
O 0.073 0.062 0.671
O 0.105 0.303 0.003
O 0.112 0.174 0.227
O 0.147 0.303 0.781
O 0.161 0.410 0.558
O 0.241 0.391 0.343
O 0.261 0.493 0.101
O 0.274 0.631 0.669
O 0.290 0.507 0.900
O 0.344 0.741 0.225
O 0.345 0.614 0.448
O 0.395 0.728 0.003
O 0.399 0.842 0.783
O 0.447 0.962 0.328
O 0.449 0.838 0.560
O 0.483 0.974 0.128
O 0.497 0.075 0.885
O 0.563 0.062 0.681
O 0.577 0.156 0.435
O 0.620 0.290 0.995
O 0.621 0.176 0.234
O 0.665 0.292 0.794
O 0.681 0.411 0.553
O 0.722 0.396 0.340
O 0.725 0.516 0.115
O 0.775 0.506 0.894
O 0.790 0.632 0.663
O 0.827 0.744 0.218
O 0.831 0.644 0.462
O 0.912 0.728 0.013
O 0.922 0.835 0.770
O 0.950 0.848 0.568
O 0.955 0.965 0.336

=====

Entry 2:
! BaNaBiWO6 | Materials Project | PBE with a Hubbard U | optimized geometry; values from VASP
! Energy above the most stable polymorph in this dataset = 0 meV/atom
! E_form = -2.294 eV/atom
! MP2020-corrected energy = -7.272 eV per atom
&SYSTEM
  ibrav = 0, nat = 40, ntyp = 5
/
ATOMIC_SPECIES
Ba 137.33 Ba.upf
Na 22.99 Na.upf
Bi 208.98 Bi.upf
W 183.84 W.upf
O 16.00 O.upf
CELL_PARAMETERS angstrom
8.432 0.000 0.000
0.000 8.502 0.000
0.000 0.000 8.502
ATOMIC_POSITIONS crystal
Ba 0.250 0.250 0.250
Ba 0.250 0.250 0.750
Ba 0.750 0.750 0.250
Ba 0.750 0.750 0.750
Na 0.250 0.750 0.250
Na 0.250 0.750 0.750
Na 0.750 0.250 0.250
Na 0.750 0.250 0.750
Bi 0.000 0.000 0.000
Bi 0.000 0.500 0.500
Bi 0.500 0.000 0.500
Bi 0.500 0.500 0.000
W 0.000 0.000 0.500
W 0.000 0.500 0.000
W 0.500 0.000 0.000
W 0.500 0.500 0.500
O 0.035 0.227 0.482
O 0.035 0.273 0.018
O 0.049 0.528 0.225
O 0.049 0.972 0.275
O 0.225 0.524 0.947
O 0.225 0.976 0.553
O 0.275 0.524 0.553
O 0.275 0.976 0.947
O 0.451 0.528 0.275
O 0.451 0.972 0.225
O 0.465 0.227 0.018
O 0.465 0.273 0.482
O 0.535 0.727 0.518
O 0.535 0.773 0.982
O 0.549 0.028 0.775
O 0.549 0.472 0.725
O 0.725 0.024 0.053
O 0.725 0.476 0.447
O 0.775 0.024 0.447
O 0.775 0.476 0.053
O 0.951 0.028 0.725
O 0.951 0.472 0.775
O 0.965 0.727 0.982
O 0.965 0.773 0.518

=====

Entry 3:
! Li9Mn2Co5O16 | Materials Project | PBE with a Hubbard U | optimized geometry; values from VASP
! Energy above the most stable polymorph in this dataset = 40 meV/atom
! E_form = -1.824 eV/atom
! MP2020-corrected energy = -6.519 eV per atom
&SYSTEM
  ibrav = 0, nat = 32, ntyp = 4
/
ATOMIC_SPECIES
Li 6.94 Li.upf
Mn 54.94 Mn.upf
Co 58.93 Co.upf
O 16.00 O.upf
CELL_PARAMETERS angstrom
4.993 0.000 0.000
0.909 5.034 0.000
1.076 1.753 11.312
ATOMIC_POSITIONS crystal
Li 0.000 0.000 0.000
Li 0.001 0.237 0.751
Li 0.498 0.360 0.616
Li 0.505 0.116 0.878
Li 0.517 0.857 0.120
Li 0.520 0.607 0.358
Li 0.757 0.301 0.183
Li 0.993 0.490 0.487
Li 0.995 0.746 0.236
Mn 0.248 0.923 0.552
Mn 0.255 0.177 0.303
Co 0.247 0.431 0.064
Co 0.251 0.673 0.810
Co 0.746 0.792 0.679
Co 0.750 0.048 0.429
Co 0.756 0.554 0.937
O 0.116 0.349 0.904
O 0.119 0.858 0.406
O 0.126 0.606 0.641
O 0.156 0.089 0.162
O 0.363 0.495 0.221
O 0.364 0.007 0.696
O 0.379 0.236 0.458
O 0.394 0.756 0.956
O 0.610 0.732 0.522
O 0.614 0.479 0.765
O 0.618 0.971 0.289
O 0.621 0.249 0.018
O 0.879 0.114 0.579
O 0.881 0.868 0.832
O 0.891 0.357 0.344
O 0.900 0.647 0.083